Entry 1:
## Ba2LiTmCu3O7 (GGA-PBE)

Data for a relaxed structure of Ba2LiTmCu3O7.

Unit cell a=3.862 b=4.115 c=11.780 alpha=90.00 beta=90.00 gamma=91.71
Atoms (fractional coordinates):
O (0.984, 0.498, 0.618)
O (0.009, 0.987, 0.159)
O (0.984, 0.498, 0.382)
O (0.009, 0.987, 0.841)
O (0.506, 0.010, 0.619)
O (0.506, 0.010, 0.381)
O (0.009, 0.488, 0.000)
Cu (0.009, 0.983, 0.667)
Cu (0.009, 0.987, 0.000)
Cu (0.009, 0.983, 0.333)
Ba (0.511, 0.484, 0.823)
Ba (0.511, 0.484, 0.177)
Li (0.848, 0.171, 0.500)
Tm (0.433, 0.596, 0.500)

Calculated values
Formation energy from the elements   -2043 meV per atom
Energy   -5.783 eV per atom
Magnetic moment   0.00 Bohr magnetons per cell


Entry 2:
## SmMgPd (GGA-PBE)

Data for a relaxed structure of SmMgPd.

Unit cell a=4.059 b=7.616 c=7.616 alpha=120.00 beta=90.00 gamma=90.00
Atoms (fractional coordinates):
Sm (0.500, 0.585, 0.000)
Sm (0.500, 0.000, 0.585)
Sm (0.500, 0.415, 0.415)
Pd (0.000, 0.667, 0.333)
Pd (0.500, 0.000, 0.000)
Pd (0.000, 0.333, 0.667)
Mg (0.000, 0.000, 0.241)
Mg (0.000, 0.241, 0.000)
Mg (0.000, 0.759, 0.759)

Calculated values
Formation energy from the elements   -671 meV per atom
Energy   -4.504 eV per atom


Entry 3:
## Li7Mn2N3 (GGA-PBE)

Data for a relaxed structure of Li7Mn2N3.

Unit cell a=3.834 b=6.488 c=6.486 alpha=59.99 beta=90.00 gamma=90.00
Atoms (fractional coordinates):
Li (0.500, 0.000, 0.000)
Li (0.000, 0.000, 0.327)
Li (0.000, 0.327, 0.673)
Li (0.000, 0.327, 0.000)
Li (0.000, 0.673, 0.327)
Li (0.000, 0.672, 0.000)
Li (0.000, 0.000, 0.673)
N (0.000, 0.000, 0.000)
N (0.000, 0.333, 0.334)
N (0.000, 0.667, 0.666)
Mn (0.500, 0.333, 0.333)
Mn (0.500, 0.667, 0.667)

Calculated values
Formation energy from the elements   -373 meV per atom
Energy   -5.007 eV per atom


Entry 4:
## Sm3Ge13Os4 (GGA-PBE)

Data for a relaxed structure of Sm3Ge13Os4.

Unit cell a=9.136 b=9.136 c=9.136 alpha=90.00 beta=90.00 gamma=90.00
Atoms (fractional coordinates):
Ge (0.000, 0.854, 0.701)
Ge (0.646, 0.500, 0.799)
Ge (0.500, 0.799, 0.354)
Ge (0.299, 0.000, 0.146)
Ge (0.854, 0.299, 0.000)
Ge (0.201, 0.354, 0.500)
Ge (0.799, 0.354, 0.500)
Ge (0.500, 0.799, 0.646)
Ge (0.701, 0.000, 0.146)
Ge (0.701, 0.000, 0.854)
Ge (0.500, 0.500, 0.500)
Ge (0.146, 0.299, 0.000)
Ge (0.799, 0.646, 0.500)
Ge (0.146, 0.701, 0.000)
Ge (0.299, 0.000, 0.854)
Ge (0.000, 0.854, 0.299)
Ge (0.854, 0.701, 0.000)
Ge (0.500, 0.201, 0.354)
Ge (0.646, 0.500, 0.201)
Ge (0.000, 0.146, 0.299)
Ge (0.201, 0.646, 0.500)
Ge (0.000, 0.146, 0.701)
Ge (0.000, 0.000, 0.000)
Ge (0.354, 0.500, 0.799)
Ge (0.354, 0.500, 0.201)
Ge (0.500, 0.201, 0.646)
Sm (0.000, 0.500, 0.750)
Sm (0.750, 0.000, 0.500)
Sm (0.250, 0.000, 0.500)
Sm (0.000, 0.500, 0.250)
Sm (0.500, 0.250, 0.000)
Sm (0.500, 0.750, 0.000)
Os (0.250, 0.750, 0.750)
Os (0.750, 0.750, 0.750)
Os (0.750, 0.750, 0.250)
Os (0.250, 0.750, 0.250)
Os (0.250, 0.250, 0.250)
Os (0.750, 0.250, 0.250)
Os (0.250, 0.250, 0.750)
Os (0.750, 0.250, 0.750)

Calculated values
Formation energy from the elements   -338 meV per atom
Energy   -6.296 eV per atom
Magnetic moment   0.00 Bohr magnetons per cell


Entry 5:
## Na2LaTaSi2SO12 (GGA-PBE)

Data for a relaxed structure of Na2LaTaSi2SO12.

Unit cell a=9.342 b=9.342 c=23.032 alpha=91.04 beta=88.96 gamma=118.59
Atoms (fractional coordinates):
O (0.128, 0.663, 0.079)
O (0.030, 0.201, 0.190)
O (0.619, 0.151, 0.426)
O (0.871, 0.354, 0.246)
O (0.646, 0.129, 0.746)
O (0.197, 0.495, 0.257)
O (0.838, 0.470, 0.423)
O (0.609, 0.472, 0.917)
O (0.221, 0.001, 0.303)
O (0.041, 0.827, 0.698)
O (0.905, 0.547, 0.740)
O (0.815, 0.518, 0.031)
O (0.507, 0.626, 0.865)
O (0.816, 0.851, 0.198)
O (0.364, 0.867, 0.857)
O (0.530, 0.162, 0.923)
O (0.183, 0.048, 0.593)
O (0.799, 0.970, 0.690)
O (0.548, 0.866, 0.478)
O (0.555, 0.667, 0.969)
O (0.482, 0.185, 0.531)
O (0.505, 0.803, 0.757)
O (0.205, 0.020, 0.913)
O (0.861, 0.058, 0.083)
O (0.134, 0.452, 0.978)
O (0.697, 0.534, 0.524)
O (0.666, 0.112, 0.136)
O (0.171, 0.137, 0.090)
O (0.313, 0.462, 0.079)
O (0.337, 0.872, 0.579)
O (0.528, 0.391, 0.417)
O (0.795, 0.996, 0.412)
O (0.784, 0.993, 0.806)
O (0.888, 0.334, 0.636)
O (0.341, 0.883, 0.973)
O (0.333, 0.445, 0.469)
O (0.149, 0.184, 0.698)
O (0.133, 0.636, 0.357)
O (0.849, 0.381, 0.926)
O (0.516, 0.715, 0.260)
O (0.173, 0.959, 0.198)
O (0.671, 0.538, 0.245)
O (0.119, 0.428, 0.573)
O (0.004, 0.205, 0.912)
O (0.482, 0.851, 0.364)
O (0.786, 0.762, 0.906)
O (0.881, 0.532, 0.144)
O (0.453, 0.095, 0.240)
O (0.285, 0.484, 0.760)
O (0.538, 0.687, 0.579)
O (0.374, 0.493, 0.365)
O (0.149, 0.518, 0.864)
O (0.980, 0.795, 0.413)
O (0.801, 0.786, 0.311)
O (0.863, 0.829, 0.590)
O (0.195, 0.724, 0.750)
O (0.450, 0.326, 0.140)
O (0.952, 0.817, 0.093)
O (0.707, 0.160, 0.031)
O (0.572, 0.881, 0.073)
O (0.462, 0.329, 0.745)
O (0.007, 0.216, 0.306)
O (0.214, 0.199, 0.811)
O (0.674, 0.550, 0.640)
O (0.238, 0.214, 0.406)
O (0.466, 0.303, 0.024)
O (0.117, 0.659, 0.473)
O (0.942, 0.139, 0.583)
O (0.276, 0.805, 0.250)
O (0.840, 0.293, 0.531)
O (0.999, 0.779, 0.803)
O (0.468, 0.119, 0.644)
La (0.330, 0.678, 0.019)
La (0.663, 0.345, 0.686)
La (0.322, 0.670, 0.519)
La (0.996, 0.012, 0.353)
La (0.988, 0.004, 0.853)
La (0.655, 0.337, 0.186)
Si (0.352, 0.312, 0.083)
Si (0.688, 0.648, 0.583)
Si (0.355, 0.981, 0.916)
Si (0.031, 0.388, 0.919)
Si (0.685, 0.978, 0.749)
Si (0.365, 0.055, 0.586)
Si (0.612, 0.969, 0.419)
Si (0.698, 0.722, 0.253)
Si (0.022, 0.315, 0.249)
Si (0.945, 0.635, 0.086)
Si (0.278, 0.302, 0.753)
Si (0.019, 0.645, 0.416)
Na (0.309, 0.298, 0.915)
Na (0.975, 0.631, 0.248)
Na (0.369, 0.025, 0.748)
Na (0.036, 0.358, 0.082)
Na (0.360, 0.659, 0.666)
Na (0.702, 0.691, 0.415)
Na (0.674, 0.306, 0.832)
Na (0.027, 0.992, 0.999)
Na (0.642, 0.964, 0.582)
Na (0.694, 0.326, 0.332)
Na (0.341, 0.640, 0.166)
Na (0.008, 0.973, 0.499)
Ta (0.331, 0.672, 0.314)
Ta (0.328, 0.669, 0.814)
Ta (0.998, 0.005, 0.647)
Ta (0.665, 0.338, 0.980)
Ta (0.662, 0.335, 0.480)
Ta (0.995, 0.002, 0.147)
S (0.693, 0.050, 0.081)
S (0.950, 0.307, 0.581)
S (0.026, 0.716, 0.748)
S (0.284, 0.974, 0.248)
S (0.360, 0.383, 0.414)
S (0.617, 0.640, 0.914)

Calculated values
Formation energy from the elements   -2826 meV per atom
Energy   -7.329 eV per atom
Magnetic moment   0.00 Bohr magnetons per cell


Entry 6:
## ScSnAu (GGA-PBE)

Data for a relaxed structure of ScSnAu.

Unit cell a=4.596 b=4.596 c=7.195 alpha=90.00 beta=90.00 gamma=120.00
Atoms (fractional coordinates):
Sc (0.000, 0.000, 0.968)
Sc (0.000, 0.000, 0.468)
Au (0.667, 0.333, 0.808)
Au (0.333, 0.667, 0.308)
Sn (0.667, 0.333, 0.199)
Sn (0.333, 0.667, 0.699)

Calculated values
Formation energy from the elements   -692 meV per atom
Energy   -5.230 eV per atom
Magnetic moment   0.00 Bohr magnetons per cell


Entry 7:
## Sm4Mg (GGA-PBE)

Data for a relaxed structure of Sm4Mg.

Unit cell a=8.046 b=8.046 c=8.046 alpha=60.00 beta=60.00 gamma=60.00
Atoms (fractional coordinates):
Sm (0.854, 0.854, 0.854)
Sm (0.854, 0.854, 0.438)
Sm (0.396, 0.812, 0.396)
Sm (0.396, 0.396, 0.812)
Sm (0.812, 0.396, 0.396)
Sm (0.854, 0.438, 0.854)
Sm (0.396, 0.396, 0.396)
Sm (0.438, 0.854, 0.854)
Mg (0.000, 0.000, 0.000)
Mg (0.250, 0.250, 0.250)

Calculated values
Formation energy from the elements   611 meV per atom
Energy   -3.484 eV per atom
Magnetic moment   0.03 Bohr magnetons per cell


Entry 8:
## Rb3Li (GGA-PBE)

Data for a relaxed structure of Rb3Li.

Unit cell a=7.956 b=7.956 c=7.956 alpha=131.25 beta=131.25 gamma=71.41
Atoms (fractional coordinates):
Rb (0.250, 0.750, 0.500)
Rb (0.500, 0.500, 0.000)
Rb (0.750, 0.250, 0.500)
Li (0.000, 0.000, 0.000)

Calculated values
Formation energy from the elements   148 meV per atom
Energy   -1.065 eV per atom
Magnetic moment   0.00 Bohr magnetons per cell


Entry 9:
## Tb2TiO5 (GGA-PBE)

Data for a relaxed structure of Tb2TiO5.

Unit cell a=3.648 b=7.488 c=15.651 alpha=90.00 beta=90.00 gamma=90.00
Atoms (fractional coordinates):
O (0.250, 0.765, 0.174)
O (0.250, 0.396, 0.149)
O (0.250, 0.917, 0.546)
O (0.250, 0.411, 0.674)
O (0.750, 0.235, 0.826)
O (0.750, 0.654, 0.505)
O (0.750, 0.589, 0.326)
O (0.750, 0.583, 0.046)
O (0.250, 0.417, 0.954)
O (0.750, 0.083, 0.454)
O (0.250, 0.265, 0.326)
O (0.250, 0.346, 0.495)
O (0.750, 0.154, 0.995)
O (0.750, 0.089, 0.174)
O (0.250, 0.846, 0.005)
O (0.250, 0.896, 0.351)
O (0.750, 0.604, 0.851)
O (0.750, 0.104, 0.649)
O (0.750, 0.735, 0.674)
O (0.250, 0.911, 0.826)
Tb (0.250, 0.143, 0.738)
Tb (0.750, 0.387, 0.583)
Tb (0.250, 0.113, 0.083)
Tb (0.250, 0.643, 0.762)
Tb (0.750, 0.887, 0.917)
Tb (0.250, 0.613, 0.417)
Tb (0.750, 0.857, 0.262)
Tb (0.750, 0.357, 0.238)
Ti (0.750, 0.876, 0.577)
Ti (0.250, 0.124, 0.423)
Ti (0.250, 0.624, 0.077)
Ti (0.750, 0.376, 0.923)

Calculated values
Formation energy from the elements   -3827 meV per atom
Energy   -8.635 eV per atom
Magnetic moment   0.00 Bohr magnetons per cell


Entry 10:
## SmSe2 (GGA-PBE)

Data for a relaxed structure of SmSe2.

Unit cell a=4.124 b=4.124 c=8.521 alpha=90.00 beta=90.00 gamma=90.00
Atoms (fractional coordinates):
Se (0.000, 0.500, 0.368)
Se (0.500, 0.500, 0.000)
Se (0.000, 0.000, 0.000)
Se (0.500, 0.000, 0.632)
Sm (0.000, 0.500, 0.726)
Sm (0.500, 0.000, 0.274)

Calculated values
Formation energy from the elements   -1909 meV per atom
Energy   -5.498 eV per atom


Entry 11:
## Sr3Rh3N5 (GGA-PBE)

Data for a relaxed structure of Sr3Rh3N5.

Unit cell a=6.356 b=7.853 c=8.373 alpha=104.38 beta=110.90 gamma=101.54
Atoms (fractional coordinates):
Sr (0.325, 0.152, 0.114)
Sr (0.719, 0.681, 0.237)
Sr (0.281, 0.319, 0.763)
Sr (0.675, 0.848, 0.886)
Sr (0.262, 0.593, 0.409)
Sr (0.738, 0.407, 0.591)
Rh (0.254, 0.010, 0.415)
Rh (0.924, 0.190, 0.316)
Rh (0.861, 0.345, 0.999)
Rh (0.139, 0.655, 0.001)
Rh (0.076, 0.810, 0.684)
Rh (0.746, 0.990, 0.585)
N (0.911, 0.149, 0.835)
N (0.275, 0.486, 0.098)
N (0.791, 0.362, 0.218)
N (0.720, 0.729, 0.578)
N (0.209, 0.638, 0.782)
N (0.725, 0.514, 0.902)
N (0.295, 0.958, 0.630)
N (0.280, 0.271, 0.422)
N (0.705, 0.042, 0.370)
N (0.089, 0.851, 0.165)

Calculated values
Formation energy from the elements   -321 meV per atom
Energy   -6.415 eV per atom
Magnetic moment   0.00 Bohr magnetons per cell


Entry 12:
## CsGeI3 (GGA-PBE)

Data for a relaxed structure of CsGeI3.

Unit cell a=6.258 b=6.258 c=5.989 alpha=88.58 beta=88.58 gamma=92.31
Atoms (fractional coordinates):
Ge (0.629, 0.629, 0.116)
I (0.621, 0.071, 0.098)
I (0.071, 0.621, 0.098)
I (0.570, 0.570, 0.592)
Cs (0.085, 0.085, 0.584)

Calculated values
Formation energy from the elements   -1063 meV per atom
Energy   -2.854 eV per atom
Magnetic moment   0.00 Bohr magnetons per cell
Piezoelectric modulus e_max   1.734 C/m2